(1)
Density functional theory data (PBE) for crystalline EuI2 at its relaxed geometry.

abc: 7.926 15.311 8.260
angles: 90.00 90.00 90.00
Atoms (fractional coordinates):
Eu (0.223, 0.110, 0.052)
Eu (0.223, 0.390, 0.552)
Eu (0.277, 0.610, 0.052)
Eu (0.277, 0.890, 0.552)
Eu (0.723, 0.110, 0.448)
Eu (0.723, 0.390, 0.948)
Eu (0.777, 0.610, 0.448)
Eu (0.777, 0.890, 0.948)
I (0.006, 0.034, 0.731)
I (0.006, 0.466, 0.231)
I (0.163, 0.702, 0.393)
I (0.163, 0.798, 0.893)
I (0.337, 0.202, 0.393)
I (0.337, 0.298, 0.893)
I (0.494, 0.534, 0.731)
I (0.494, 0.966, 0.231)
I (0.506, 0.034, 0.769)
I (0.506, 0.466, 0.269)
I (0.663, 0.702, 0.107)
I (0.663, 0.798, 0.607)
I (0.837, 0.202, 0.107)
I (0.837, 0.298, 0.607)
I (0.994, 0.534, 0.769)
I (0.994, 0.966, 0.269)

***

(2)
Density functional theory data (PBE) for crystalline EuI2 at its relaxed geometry.

abc: 7.817 8.238 8.029
angles: 90.00 99.23 90.00
Atoms (fractional coordinates):
Eu (0.215, 0.054, 0.310)
Eu (0.215, 0.446, 0.810)
Eu (0.785, 0.554, 0.190)
Eu (0.785, 0.946, 0.690)
I (0.070, 0.731, 0.505)
I (0.070, 0.769, 0.005)
I (0.406, 0.111, 0.708)
I (0.406, 0.389, 0.208)
I (0.594, 0.611, 0.792)
I (0.594, 0.889, 0.292)
I (0.930, 0.231, 0.995)
I (0.930, 0.269, 0.495)

***

(3)
Density functional theory data (PBE) for crystalline EuI2 at its relaxed geometry.

abc: 12.457 4.940 8.444
angles: 90.00 90.00 90.00
Atoms (fractional coordinates):
Eu (0.172, 0.250, 0.128)
Eu (0.328, 0.750, 0.628)
Eu (0.672, 0.250, 0.372)
Eu (0.828, 0.750, 0.872)
I (0.108, 0.750, 0.875)
I (0.123, 0.750, 0.377)
I (0.377, 0.250, 0.877)
I (0.392, 0.250, 0.375)
I (0.608, 0.750, 0.625)
I (0.623, 0.750, 0.123)
I (0.877, 0.250, 0.623)
I (0.892, 0.250, 0.125)

***

(4)
Density functional theory data (PBE) for crystalline KEu2I5 at its relaxed geometry.

abc: 10.032 9.014 14.395
angles: 90.00 90.15 90.00
Atoms (fractional coordinates):
K (0.008, 0.049, 0.329)
K (0.008, 0.451, 0.829)
K (0.992, 0.549, 0.171)
K (0.992, 0.951, 0.671)
Eu (0.251, 0.573, 0.494)
Eu (0.251, 0.927, 0.994)
Eu (0.497, 0.525, 0.180)
Eu (0.497, 0.975, 0.680)
Eu (0.503, 0.025, 0.320)
Eu (0.503, 0.475, 0.820)
Eu (0.749, 0.073, 0.006)
Eu (0.749, 0.427, 0.506)
I (0.037, 0.174, 0.086)
I (0.037, 0.326, 0.586)
I (0.269, 0.689, 0.716)
I (0.269, 0.811, 0.216)
I (0.280, 0.165, 0.817)
I (0.280, 0.335, 0.317)
I (0.284, 0.544, 0.998)
I (0.284, 0.956, 0.498)
I (0.459, 0.162, 0.100)
I (0.459, 0.338, 0.600)
I (0.541, 0.662, 0.400)
I (0.541, 0.838, 0.900)
I (0.716, 0.044, 0.502)
I (0.716, 0.456, 0.002)
I (0.720, 0.665, 0.683)
I (0.720, 0.835, 0.183)
I (0.731, 0.189, 0.784)
I (0.731, 0.311, 0.284)
I (0.963, 0.674, 0.414)
I (0.963, 0.826, 0.914)

***

(5)
Density functional theory data (PBE) for crystalline Eu4I6O at its relaxed geometry.

abc: 10.459 10.459 8.046
angles: 90.00 90.00 120.00
Atoms (fractional coordinates):
Eu (0.207, 0.414, 0.000)
Eu (0.207, 0.793, 0.000)
Eu (0.333, 0.667, 0.611)
Eu (0.414, 0.207, 0.500)
Eu (0.586, 0.793, 0.000)
Eu (0.667, 0.333, 0.111)
Eu (0.793, 0.207, 0.500)
Eu (0.793, 0.586, 0.500)
I (0.071, 0.536, 0.306)
I (0.136, 0.272, 0.624)
I (0.136, 0.864, 0.624)
I (0.272, 0.136, 0.124)
I (0.464, 0.536, 0.306)
I (0.464, 0.929, 0.306)
I (0.536, 0.071, 0.806)
I (0.536, 0.464, 0.806)
I (0.728, 0.864, 0.624)
I (0.864, 0.136, 0.124)
I (0.864, 0.728, 0.124)
I (0.929, 0.464, 0.806)
O (0.333, 0.667, 0.907)
O (0.667, 0.333, 0.407)

***

(6)
Density functional theory data (PBE) for crystalline EuI3O9 at its relaxed geometry.

abc: 8.948 6.071 17.004
angles: 90.00 114.83 90.00
Atoms (fractional coordinates):
Eu (0.140, 0.230, 0.100)
Eu (0.140, 0.270, 0.600)
Eu (0.860, 0.730, 0.400)
Eu (0.860, 0.770, 0.900)
I (0.069, 0.187, 0.352)
I (0.069, 0.313, 0.852)
I (0.356, 0.638, 0.522)
I (0.356, 0.862, 0.022)
I (0.418, 0.591, 0.802)
I (0.418, 0.909, 0.302)
I (0.582, 0.091, 0.698)
I (0.582, 0.409, 0.198)
I (0.644, 0.138, 0.978)
I (0.644, 0.362, 0.478)
I (0.931, 0.687, 0.148)
I (0.931, 0.813, 0.648)
O (0.061, 0.051, 0.700)
O (0.061, 0.449, 0.200)
O (0.094, 0.605, 0.671)
O (0.094, 0.895, 0.171)
O (0.098, 0.100, 0.461)
O (0.098, 0.400, 0.961)
O (0.132, 0.609, 0.490)
O (0.132, 0.891, 0.990)
O (0.339, 0.588, 0.885)
O (0.339, 0.912, 0.385)
O (0.344, 0.182, 0.256)
O (0.344, 0.318, 0.756)
O (0.355, 0.080, 0.945)
O (0.355, 0.420, 0.445)
O (0.367, 0.002, 0.634)
O (0.367, 0.498, 0.134)
O (0.398, 0.030, 0.118)
O (0.398, 0.470, 0.618)
O (0.602, 0.530, 0.382)
O (0.602, 0.970, 0.882)
O (0.633, 0.502, 0.866)
O (0.633, 0.998, 0.366)
O (0.645, 0.580, 0.555)
O (0.645, 0.920, 0.055)
O (0.656, 0.682, 0.244)
O (0.656, 0.818, 0.744)
O (0.661, 0.088, 0.615)
O (0.661, 0.412, 0.115)
O (0.868, 0.109, 0.010)
O (0.868, 0.391, 0.510)
O (0.902, 0.600, 0.039)
O (0.902, 0.900, 0.539)
O (0.906, 0.105, 0.829)
O (0.906, 0.395, 0.329)
O (0.939, 0.551, 0.800)
O (0.939, 0.949, 0.300)

Calculated values
Magnetic moment: 23.06 μB per cell

***

(7)
Density functional theory data (PBE) for crystalline Eu2I2O at its relaxed geometry.

abc: 8.134 8.134 8.134
angles: 125.30 74.66 133.37
Atoms (fractional coordinates):
Eu (0.090, 0.172, 0.261)
Eu (0.410, 0.672, 0.082)
Eu (0.590, 0.328, 0.918)
Eu (0.910, 0.828, 0.739)
I (0.150, 0.652, 0.802)
I (0.350, 0.152, 0.501)
I (0.650, 0.848, 0.499)
I (0.850, 0.348, 0.198)
O (0.250, 0.250, 0.000)
O (0.750, 0.750, 0.000)

***

(8)
Density functional theory data (PBE) for crystalline EuIn at its relaxed geometry.

abc: 3.795 3.795 4.301
angles: 90.00 90.00 90.00
Atoms (fractional coordinates):
Eu (0.000, 0.000, 0.000)
In (0.500, 0.500, 0.500)

Calculated values
Magnetic moment: 7.09 μB per cell

***

(9)
Density functional theory data (PBE) for crystalline Eu2In at its relaxed geometry.

abc: 7.314 5.481 10.206
angles: 90.00 90.00 90.00
Atoms (fractional coordinates):
Eu (0.030, 0.250, 0.202)
Eu (0.179, 0.250, 0.570)
Eu (0.321, 0.750, 0.070)
Eu (0.470, 0.750, 0.702)
Eu (0.530, 0.250, 0.298)
Eu (0.679, 0.250, 0.930)
Eu (0.821, 0.750, 0.430)
Eu (0.970, 0.750, 0.798)
In (0.223, 0.250, 0.894)
In (0.277, 0.750, 0.394)
In (0.723, 0.250, 0.606)
In (0.777, 0.750, 0.106)

***

(10)
Density functional theory data (PBE) for crystalline EuIn4Ir at its relaxed geometry.

abc: 8.920 8.920 7.394
angles: 90.00 90.00 150.21
Atoms (fractional coordinates):
Eu (0.126, 0.874, 0.750)
Eu (0.874, 0.126, 0.250)
In (0.067, 0.933, 0.250)
In (0.315, 0.685, 0.546)
In (0.315, 0.685, 0.954)
In (0.500, 0.500, 0.000)
In (0.500, 0.500, 0.500)
In (0.685, 0.315, 0.046)
In (0.685, 0.315, 0.454)
In (0.933, 0.067, 0.750)
Ir (0.222, 0.778, 0.250)
Ir (0.778, 0.222, 0.750)

***

(11)
Density functional theory data (PBE) for crystalline EuIn8Ir2 at its relaxed geometry.

abc: 14.333 16.613 4.491
angles: 90.00 90.00 90.00
Atoms (fractional coordinates):
Eu (0.157, 0.181, 0.000)
Eu (0.343, 0.681, 0.000)
Eu (0.657, 0.319, 0.000)
Eu (0.843, 0.819, 0.000)
In (0.000, 0.000, 0.000)
In (0.000, 0.500, 0.500)
In (0.020, 0.867, 0.500)
In (0.051, 0.317, 0.500)
In (0.100, 0.746, 0.000)
In (0.160, 0.456, 0.000)
In (0.167, 0.622, 0.500)
In (0.169, 0.011, 0.500)
In (0.240, 0.823, 0.500)
In (0.260, 0.323, 0.500)
In (0.331, 0.511, 0.500)
In (0.333, 0.122, 0.500)
In (0.340, 0.956, 0.000)
In (0.400, 0.246, 0.000)
In (0.449, 0.817, 0.500)
In (0.480, 0.367, 0.500)
In (0.500, 0.000, 0.500)
In (0.500, 0.500, 0.000)
In (0.520, 0.633, 0.500)
In (0.551, 0.183, 0.500)
In (0.600, 0.754, 0.000)
In (0.660, 0.044, 0.000)
In (0.667, 0.878, 0.500)
In (0.669, 0.489, 0.500)
In (0.740, 0.677, 0.500)
In (0.760, 0.177, 0.500)
In (0.831, 0.989, 0.500)
In (0.833, 0.378, 0.500)
In (0.840, 0.544, 0.000)
In (0.900, 0.254, 0.000)
In (0.949, 0.683, 0.500)
In (0.980, 0.133, 0.500)
Ir (0.034, 0.595, 0.000)
Ir (0.154, 0.903, 0.000)
Ir (0.346, 0.403, 0.000)
Ir (0.466, 0.095, 0.000)
Ir (0.534, 0.905, 0.000)
Ir (0.654, 0.597, 0.000)
Ir (0.846, 0.097, 0.000)
Ir (0.966, 0.405, 0.000)

Calculated values
Magnetic moment: 27.89 μB per cell

***

(12)
Density functional theory data (PBE) for crystalline Li2EuIn at its relaxed geometry.

abc: 5.064 5.064 5.064
angles: 60.00 60.00 60.00
Atoms (fractional coordinates):
Li (0.250, 0.250, 0.250)
Li (0.750, 0.750, 0.750)
Eu (0.000, 0.000, 0.000)
In (0.500, 0.500, 0.500)

Calculated values
Magnetic moment: 7.02 μB per cell

***

(13)
Density functional theory data (PBE) for crystalline Eu2NbInO6 at its relaxed geometry.

abc: 5.833 5.833 5.833
angles: 60.00 60.00 60.00
Atoms (fractional coordinates):
Eu (0.250, 0.250, 0.250)
Eu (0.750, 0.750, 0.750)
Nb (0.000, 0.000, 0.000)
In (0.500, 0.500, 0.500)
O (0.245, 0.245, 0.755)
O (0.245, 0.755, 0.245)
O (0.245, 0.755, 0.755)
O (0.755, 0.245, 0.245)
O (0.755, 0.245, 0.755)
O (0.755, 0.755, 0.245)

Calculated values
Magnetic moment: 14.00 μB per cell

***

(14)
Density functional theory data (PBE) for crystalline EuNbInSnO6 at its relaxed geometry.

abc: 5.737 5.737 5.737
angles: 60.00 60.00 60.00
Atoms (fractional coordinates):
Eu (0.000, 0.000, 0.000)
Nb (0.250, 0.250, 0.250)
In (0.750, 0.750, 0.750)
Sn (0.500, 0.500, 0.500)
O (0.008, 0.008, 0.492)
O (0.008, 0.492, 0.008)
O (0.008, 0.492, 0.492)
O (0.492, 0.008, 0.008)
O (0.492, 0.008, 0.492)
O (0.492, 0.492, 0.008)

Calculated values
Magnetic moment: 7.00 μB per cell

***

(15)
Density functional theory data (PBE) for crystalline EuIn2Ni at its relaxed geometry.

abc: 5.801 5.801 7.794
angles: 90.00 90.00 135.41
Atoms (fractional coordinates):
Eu (0.057, 0.943, 0.750)
Eu (0.943, 0.057, 0.250)
In (0.346, 0.654, 0.553)
In (0.346, 0.654, 0.947)
In (0.654, 0.346, 0.053)
In (0.654, 0.346, 0.447)
Ni (0.221, 0.779, 0.250)
Ni (0.779, 0.221, 0.750)

***

(16)
Density functional theory data (PBE) for crystalline EuIn4Ni at its relaxed geometry.

abc: 8.818 8.818 7.260
angles: 90.00 90.00 150.17
Atoms (fractional coordinates):
Eu (0.122, 0.878, 0.750)
Eu (0.878, 0.122, 0.250)
In (0.073, 0.927, 0.250)
In (0.310, 0.690, 0.549)
In (0.310, 0.690, 0.951)
In (0.500, 0.500, 0.000)
In (0.500, 0.500, 0.500)
In (0.690, 0.310, 0.049)
In (0.690, 0.310, 0.451)
In (0.927, 0.073, 0.750)
Ni (0.223, 0.777, 0.250)
Ni (0.777, 0.223, 0.750)

Calculated values
Magnetic moment: 13.82 μB per cell

***

What are the formation energy values for these records? In order: -5.6, -5.6, -5.7, -14.6, -21.1, -17.2, -11.3, -0.9, -1.0, -2.2, -2.8, -1.0, -28.9, -24.2, -1.5, -2.0 eV/f.u..